(1)
DFT (GGA-PBE) results for a relaxed structure of Li8Ti15O32.

## Properties
Space-group type ... No. 160
E_tot ... -8.16 eV per atom
Crystal system ... trigonal

Unit cell a=19.8196 b=19.8196 c=19.8196 alpha=17.35 beta=17.35 gamma=17.35
Positions (direct):
O (0.9032, 0.9032, 0.9032)
O (0.1301, 0.6649, 0.6649)
O (0.1534, 0.1534, 0.1534)
O (0.6530, 0.6530, 0.6530)
O (0.3172, 0.7646, 0.7646)
O (0.7646, 0.7646, 0.3172)
O (0.9221, 0.3721, 0.9221)
O (0.0226, 0.5576, 0.0226)
O (0.7646, 0.3172, 0.7646)
O (0.8199, 0.2634, 0.2634)
O (0.8674, 0.4242, 0.4242)
O (0.2634, 0.8199, 0.2634)
O (0.0226, 0.0226, 0.5576)
O (0.6649, 0.6649, 0.1301)
O (0.1750, 0.6142, 0.1750)
O (0.4242, 0.8674, 0.4242)
O (0.5341, 0.5341, 0.5341)
O (0.0662, 0.5156, 0.5156)
O (0.5576, 0.0226, 0.0226)
O (0.1750, 0.1750, 0.6142)
O (0.4032, 0.4032, 0.4032)
O (0.4242, 0.4242, 0.8674)
O (0.5156, 0.0662, 0.5156)
O (0.6142, 0.1750, 0.1750)
O (0.5156, 0.5156, 0.0662)
O (0.0354, 0.0354, 0.0354)
O (0.6649, 0.1301, 0.6649)
O (0.7843, 0.7843, 0.7843)
O (0.9221, 0.9221, 0.3721)
O (0.2840, 0.2840, 0.2840)
O (0.3721, 0.9221, 0.9221)
O (0.2634, 0.2634, 0.8199)
Ti (0.7211, 0.2110, 0.7211)
Ti (0.0944, 0.0944, 0.0944)
Ti (0.5933, 0.5933, 0.5933)
Ti (0.9664, 0.9664, 0.4767)
Ti (0.7211, 0.7211, 0.2110)
Ti (0.9664, 0.4767, 0.9664)
Ti (0.7200, 0.2179, 0.2179)
Ti (0.2110, 0.7211, 0.7211)
Ti (0.4679, 0.4679, 0.9712)
Ti (0.4767, 0.9664, 0.9664)
Ti (0.9712, 0.4679, 0.4679)
Ti (0.2179, 0.7200, 0.2179)
Ti (0.2179, 0.2179, 0.7200)
Ti (0.4679, 0.9712, 0.4679)
Ti (0.3431, 0.3431, 0.3431)
Li (0.6872, 0.6872, 0.6872)
Li (0.2495, 0.2495, 0.2495)
Li (0.7500, 0.7500, 0.7500)
Li (0.9380, 0.9380, 0.9380)
Li (0.8438, 0.8438, 0.8438)
Li (0.4995, 0.4995, 0.4995)
Li (0.1880, 0.1880, 0.1880)
Li (0.4379, 0.4379, 0.4379)



(2)
DFT (GGA-PBE) results for a relaxed structure of Na2HoNb5O15.

## Properties
Space-group type ... No. 127
E_tot ... -8.30 eV per atom
Crystal system ... tetragonal

Unit cell a=12.6507 b=12.6507 c=3.9366 alpha=90.00 beta=90.00 gamma=90.00
Positions (direct):
Na (0.6731, 0.1731, 0.5000)
Na (0.8269, 0.6731, 0.5000)
Na (0.1731, 0.3269, 0.5000)
Na (0.3269, 0.8269, 0.5000)
O (0.6299, 0.5559, 0.0000)
O (0.0024, 0.3408, 0.0000)
O (0.0815, 0.8133, 0.5000)
O (0.7752, 0.2752, 0.0000)
O (0.1299, 0.9441, 0.0000)
O (0.6867, 0.4185, 0.5000)
O (0.6592, 0.0024, 0.0000)
O (0.9976, 0.6592, 0.0000)
O (0.5559, 0.3701, 0.0000)
O (0.9185, 0.1867, 0.5000)
O (0.9441, 0.8701, 0.0000)
O (0.5815, 0.6867, 0.5000)
O (0.8701, 0.0559, 0.0000)
O (0.2248, 0.7248, 0.0000)
O (0.3133, 0.5815, 0.5000)
O (0.5000, 0.0000, 0.5000)
O (0.7248, 0.7752, 0.0000)
O (0.3408, 0.9976, 0.0000)
O (0.1592, 0.4976, 0.0000)
O (0.8408, 0.5024, 0.0000)
O (0.2752, 0.2248, 0.0000)
O (0.0559, 0.1299, 0.0000)
O (0.5024, 0.1592, 0.0000)
O (0.4441, 0.6299, 0.0000)
O (0.3701, 0.4441, 0.0000)
O (0.8133, 0.9185, 0.5000)
O (0.0000, 0.5000, 0.5000)
O (0.4185, 0.3133, 0.5000)
O (0.1867, 0.0815, 0.5000)
O (0.4976, 0.8408, 0.0000)
Nb (0.7881, 0.9216, 0.0000)
Nb (0.0000, 0.5000, 0.0000)
Nb (0.9216, 0.2119, 0.0000)
Nb (0.5000, 0.0000, 0.0000)
Nb (0.2119, 0.0784, 0.0000)
Nb (0.5784, 0.7119, 0.0000)
Nb (0.4216, 0.2881, 0.0000)
Nb (0.2881, 0.5784, 0.0000)
Nb (0.7119, 0.4216, 0.0000)
Nb (0.0784, 0.7881, 0.0000)
Ho (0.0000, 0.0000, 0.5000)
Ho (0.5000, 0.5000, 0.5000)



(3)
DFT (GGA-PBE) results for a relaxed structure of SmGa6.

## Properties
Space-group type ... No. 125
Offset from the most stable computed form ... 0.000 eV per atom
Crystal system ... tetragonal

Unit cell a=6.0569 b=6.0569 c=7.6189 alpha=90.00 beta=90.00 gamma=90.00
Positions (direct):
Ga (0.3036, 0.1964, 0.6520)
Ga (0.8036, 0.6964, 0.3480)
Ga (0.6964, 0.8036, 0.6520)
Ga (0.6964, 0.1964, 0.3480)
Ga (0.1964, 0.3036, 0.3480)
Ga (0.3036, 0.8036, 0.3480)
Ga (0.1964, 0.6964, 0.6520)
Ga (0.0000, 0.0000, 0.1619)
Ga (0.0000, 0.0000, 0.8381)
Ga (0.8036, 0.3036, 0.6520)
Ga (0.5000, 0.5000, 0.1619)
Ga (0.5000, 0.5000, 0.8381)
Sm (0.0000, 0.5000, 0.0000)
Sm (0.5000, 0.0000, 0.0000)



(4)
DFT (GGA-PBE) results for a relaxed structure of Na5Bi2As5O18.

## Properties
Space-group type ... No. 2
E_tot ... -5.73 eV per atom
Crystal system ... triclinic

Unit cell a=7.1849 b=10.2458 c=12.3128 alpha=97.39 beta=92.21 gamma=90.92
Positions (direct):
O (0.0028, 0.8417, 0.9384)
O (0.0658, 0.4192, 0.1084)
O (0.7343, 0.7545, 0.7653)
O (0.6752, 0.0919, 0.8969)
O (0.5669, 0.9647, 0.6843)
O (0.9972, 0.1583, 0.0616)
O (0.7375, 0.1057, 0.5355)
O (0.9716, 0.0083, 0.6884)
O (0.6755, 0.0437, 0.1585)
O (0.3512, 0.5834, 0.7957)
O (0.3549, 0.2514, 0.0186)
O (0.9877, 0.6834, 0.1622)
O (0.3941, 0.1968, 0.7577)
O (0.9092, 0.3297, 0.3531)
O (0.3280, 0.6013, 0.0600)
O (0.4331, 0.0353, 0.3157)
O (0.6720, 0.3987, 0.9400)
O (0.2625, 0.8943, 0.4645)
O (0.6059, 0.8032, 0.2423)
O (0.4490, 0.6434, 0.5834)
O (0.9342, 0.5808, 0.8916)
O (0.3245, 0.9563, 0.8415)
O (0.6451, 0.7486, 0.9814)
O (0.7576, 0.5865, 0.3978)
O (0.2424, 0.4135, 0.6022)
O (0.2657, 0.2455, 0.2347)
O (0.7697, 0.8246, 0.5312)
O (0.6488, 0.4166, 0.2043)
O (0.7339, 0.4323, 0.7136)
O (0.0284, 0.9917, 0.3116)
O (0.5510, 0.3566, 0.4166)
O (0.2661, 0.5677, 0.2864)
O (0.2303, 0.1754, 0.4688)
O (0.3248, 0.9081, 0.1031)
O (0.0908, 0.6703, 0.6469)
O (0.0123, 0.3166, 0.8378)
As (0.7167, 0.4258, 0.3407)
As (0.7749, 0.9795, 0.6083)
As (0.5103, 0.9361, 0.1958)
As (0.8305, 0.4187, 0.8410)
As (0.2251, 0.0205, 0.3917)
As (0.8232, 0.7355, 0.8920)
As (0.1768, 0.2645, 0.1080)
As (0.1695, 0.5813, 0.1590)
As (0.2833, 0.5742, 0.6593)
As (0.4897, 0.0639, 0.8042)
Na (0.3353, 0.3920, 0.8805)
Na (0.2277, 0.8765, 0.6419)
Na (0.5290, 0.2701, 0.5974)
Na (0.0885, 0.2236, 0.6552)
Na (0.6647, 0.6080, 0.1195)
Na (0.9849, 0.9351, 0.1268)
Na (0.4710, 0.7299, 0.4026)
Na (0.9115, 0.7764, 0.3448)
Na (0.0151, 0.0649, 0.8732)
Na (0.7723, 0.1235, 0.3581)
Bi (0.3264, 0.7650, 0.9393)
Bi (0.7696, 0.6271, 0.6056)
Bi (0.2304, 0.3729, 0.3944)
Bi (0.6736, 0.2350, 0.0607)



(5)
DFT (GGA-PBE) results for a relaxed structure of AlPO6.

## Properties
Space-group type ... No. 61
Offset from the most stable computed form ... 0.012 eV per atom
Crystal system ... orthorhombic

Unit cell a=8.5231 b=9.6232 c=9.8184 alpha=90.00 beta=90.00 gamma=90.00
Positions (direct):
O (0.2928, 0.8245, 0.1098)
O (0.9924, 0.7950, 0.2016)
O (0.7318, 0.6257, 0.2009)
O (0.0260, 0.9781, 0.6712)
O (0.2928, 0.6755, 0.6098)
O (0.2318, 0.6257, 0.2991)
O (0.0076, 0.2050, 0.7984)
O (0.4740, 0.4781, 0.6712)
O (0.0824, 0.6907, 0.9457)
O (0.8070, 0.9354, 0.9442)
O (0.3070, 0.9354, 0.5558)
O (0.7682, 0.1257, 0.2009)
O (0.9176, 0.3093, 0.0543)
O (0.7072, 0.3245, 0.3902)
O (0.9740, 0.0219, 0.3288)
O (0.4176, 0.1907, 0.9457)
O (0.8070, 0.5646, 0.4442)
O (0.9924, 0.7050, 0.7016)
O (0.2682, 0.1257, 0.2991)
O (0.9740, 0.4781, 0.8288)
O (0.5824, 0.8093, 0.0543)
O (0.2682, 0.3743, 0.7991)
O (0.5824, 0.6907, 0.5543)
O (0.1930, 0.4354, 0.5558)
O (0.0824, 0.8093, 0.4457)
O (0.0076, 0.2950, 0.2984)
O (0.7072, 0.1755, 0.8902)
O (0.7928, 0.6755, 0.8902)
O (0.9176, 0.1907, 0.5543)
O (0.4924, 0.7050, 0.7984)
O (0.2072, 0.3245, 0.1098)
O (0.6930, 0.4354, 0.9442)
O (0.3070, 0.5646, 0.0558)
O (0.6930, 0.0646, 0.4442)
O (0.7928, 0.8245, 0.3902)
O (0.7682, 0.3743, 0.7009)
O (0.2318, 0.8743, 0.7991)
O (0.4924, 0.7950, 0.2984)
O (0.5260, 0.5219, 0.3288)
O (0.5076, 0.2050, 0.7016)
O (0.5260, 0.9781, 0.8288)
O (0.5076, 0.2950, 0.2016)
O (0.4740, 0.0219, 0.1712)
O (0.1930, 0.0646, 0.0558)
O (0.7318, 0.8743, 0.7009)
O (0.2072, 0.1755, 0.6098)
O (0.4176, 0.3093, 0.4457)
O (0.0260, 0.5219, 0.1712)
Al (0.3592, 0.3161, 0.6260)
Al (0.3592, 0.1839, 0.1260)
Al (0.6408, 0.8161, 0.8740)
Al (0.8592, 0.3161, 0.8740)
Al (0.8592, 0.1839, 0.3740)
Al (0.6408, 0.6839, 0.3740)
Al (0.1408, 0.8161, 0.6260)
Al (0.1408, 0.6839, 0.1260)
P (0.5399, 0.3615, 0.3396)
P (0.9601, 0.6385, 0.8396)
P (0.4601, 0.8615, 0.1604)
P (0.5399, 0.1385, 0.8396)
P (0.4601, 0.6385, 0.6604)
P (0.0399, 0.1385, 0.6604)
P (0.0399, 0.3615, 0.1604)
P (0.9601, 0.8615, 0.3396)



(6)
DFT (GGA-PBE) results for a relaxed structure of Na2Al2B2O7.

## Properties
Space-group type ... No. 9
E_tot ... -7.05 eV per atom
Crystal system ... monoclinic

Unit cell a=4.8649 b=4.8649 c=15.5749 alpha=89.96 beta=89.96 gamma=119.67
Positions (direct):
Al (0.6610, 0.3224, 0.3611)
Al (0.3230, 0.6629, 0.6389)
Al (0.3224, 0.6610, 0.8611)
Al (0.6629, 0.3230, 0.1389)
Na (0.9989, 0.9982, 0.0000)
Na (0.0041, 0.0075, 0.2500)
Na (0.9982, 0.9989, 0.5000)
Na (0.0075, 0.0041, 0.7500)
B (0.6639, 0.3317, 0.8959)
B (0.3317, 0.6639, 0.3959)
B (0.3312, 0.6635, 0.1041)
B (0.6635, 0.3312, 0.6041)
O (0.9580, 0.3547, 0.9012)
O (0.6415, 0.0366, 0.6081)
O (0.0383, 0.3927, 0.3941)
O (0.9566, 0.6014, 0.5988)
O (0.3927, 0.0383, 0.8941)
O (0.6014, 0.9566, 0.0988)
O (0.6407, 0.6038, 0.8923)
O (0.6459, 0.2906, 0.2500)
O (0.2906, 0.6459, 0.7500)
O (0.0366, 0.6415, 0.1081)
O (0.3920, 0.3547, 0.6054)
O (0.3547, 0.3920, 0.1054)
O (0.6038, 0.6407, 0.3923)
O (0.3547, 0.9580, 0.4012)



(7)
DFT (GGA-PBE) results for a relaxed structure of K3NpH2O6.

## Properties
Space-group type ... No. 56
E_tot ... -6.38 eV per atom
Crystal system ... orthorhombic

Unit cell a=6.7631 b=10.1953 c=11.1047 alpha=90.00 beta=90.00 gamma=90.00
Positions (direct):
H (0.2933, 0.2957, 0.9766)
H (0.2933, 0.2043, 0.5234)
H (0.7933, 0.2957, 0.5234)
H (0.7933, 0.2043, 0.9766)
H (0.2067, 0.7043, 0.4766)
H (0.7067, 0.7043, 0.0234)
H (0.7067, 0.7957, 0.4766)
H (0.2067, 0.7957, 0.0234)
O (0.3514, 0.4382, 0.6371)
O (0.6486, 0.9382, 0.1371)
O (0.2259, 0.8807, 0.0630)
O (0.5959, 0.8568, 0.9022)
O (0.7259, 0.8807, 0.4370)
O (0.2259, 0.6193, 0.4370)
O (0.3514, 0.0618, 0.8629)
O (0.0959, 0.8568, 0.5978)
O (0.2741, 0.3807, 0.9370)
O (0.5959, 0.6432, 0.5978)
O (0.9041, 0.1432, 0.4022)
O (0.7741, 0.3807, 0.5630)
O (0.1486, 0.5618, 0.1371)
O (0.7741, 0.1193, 0.9370)
O (0.8514, 0.0618, 0.6371)
O (0.8514, 0.4382, 0.8629)
O (0.4041, 0.3568, 0.4022)
O (0.7259, 0.6193, 0.0630)
O (0.1486, 0.9382, 0.3629)
O (0.4041, 0.1432, 0.0978)
O (0.9041, 0.3568, 0.0978)
O (0.2741, 0.1193, 0.5630)
O (0.6486, 0.5618, 0.3629)
O (0.0959, 0.6432, 0.9022)
K (0.5105, 0.0858, 0.3454)
K (0.4895, 0.5858, 0.8454)
K (0.5105, 0.4142, 0.1546)
K (0.0105, 0.4142, 0.3454)
K (0.4895, 0.9142, 0.6546)
K (0.5838, 0.2500, 0.7500)
K (0.0105, 0.0858, 0.1546)
K (0.4162, 0.7500, 0.2500)
K (0.9162, 0.7500, 0.2500)
K (0.9895, 0.5858, 0.6546)
K (0.9895, 0.9142, 0.8454)
K (0.0838, 0.2500, 0.7500)
Np (0.0000, 0.0000, 0.5000)
Np (0.0000, 0.5000, 0.0000)
Np (0.5000, 0.5000, 0.5000)
Np (0.5000, 0.0000, 0.0000)



(8)
DFT (GGA-PBE) results for a relaxed structure of CuAsSe.

## Properties
Space-group type ... No. 62
E_tot ... -4.21 eV per atom
Crystal system ... orthorhombic

Unit cell a=3.9451 b=5.7187 c=11.9189 alpha=90.00 beta=90.00 gamma=90.00
Positions (direct):
Cu (0.7500, 0.5856, 0.6680)
Cu (0.7500, 0.9144, 0.1680)
Cu (0.2500, 0.4144, 0.3320)
Cu (0.2500, 0.0856, 0.8320)
Se (0.2500, 0.3374, 0.6675)
Se (0.2500, 0.1626, 0.1675)
Se (0.7500, 0.8374, 0.8325)
Se (0.7500, 0.6626, 0.3325)
As (0.7500, 0.6406, 0.0157)
As (0.2500, 0.1406, 0.4843)
As (0.2500, 0.3594, 0.9843)
As (0.7500, 0.8594, 0.5157)



(9)
DFT (GGA-PBE) results for a relaxed structure of Rb2NaO2.

## Properties
Space-group type ... No. 123
E_tot ... -2.78 eV per atom
Crystal system ... tetragonal

Unit cell a=5.5754 b=5.5754 c=14.1727 alpha=90.00 beta=90.00 gamma=90.00
Positions (direct):
Rb (0.5000, 0.5000, 0.6802)
Rb (0.5000, 0.5000, 0.3198)
O (0.5000, 0.5000, 0.1538)
O (0.5000, 0.5000, 0.8462)
Na (0.5000, 0.5000, 0.0000)



> Number 3 is which compound?

SmGa6